This record from the Materials Project describes an optimized crystal structure of Tl2MoO4. The functional is r2SCAN.

Calculated values
As for the symmetry: C2, No. 5. The total moment is 0.000 μB/f.u. Its formation energy is -1698 meV per atom. As for the total energy: -1.7662 Ry/atom. The energy above the lowest structure with this stoichiometry is 0.00 eV per formula unit.

a b c (Å): 6.153 6.153 8.022
angles (deg): 88.86 88.86 63.56
Element x y z (fractional)
O1 0.402 0.761 0.802
O2 0.248 0.364 0.515
O3 0.896 0.711 0.792
O4 0.239 0.598 0.198
O5 0.289 0.104 0.208
Mo1 0.364 0.316 0.308
Tl1 0.049 0.951 0.500
Tl2 0.334 0.339 0.822
Mo2 0.684 0.636 0.692
O6 0.787 0.318 0.700
Tl3 0.661 0.666 0.178
O7 0.682 0.213 0.300
O8 0.636 0.752 0.485
Tl4 0.998 0.002 0.000

This record from the Materials Project describes an optimized crystal structure of Tl2SbF5. The functional is r2SCAN.

Calculated values
As for the symmetry: Cmcm, No. 63. The total moment is 0.000 μB/f.u. Its formation energy is -2247 meV per atom. As for the total energy: -1.5221 Ry/atom.

a b c (Å): 7.621 7.621 6.665
angles (deg): 90.00 90.00 130.06
Element x y z (fractional)
F1 0.894 0.651 0.535
Tl1 0.247 0.753 0.250
F2 0.106 0.349 0.465
F3 0.234 0.766 0.750
F4 0.651 0.894 0.465
Tl2 0.567 0.433 0.250
F5 0.651 0.894 0.035
Tl3 0.433 0.567 0.750
F6 0.894 0.651 0.965
F7 0.106 0.349 0.035
Sb1 0.092 0.908 0.750
Sb2 0.908 0.092 0.250
Tl4 0.753 0.247 0.750
F8 0.766 0.234 0.250
F9 0.349 0.106 0.965
F10 0.349 0.106 0.535

This record from the Materials Project describes an optimized crystal structure of CaHoCd2. The functional is r2SCAN.

Calculated values
As for the symmetry: Fm-3m, No. 225. The total moment is 0.000 μB/f.u. Its formation energy is -378 meV per atom. As for the total energy: -1.5001 Ry/atom.

a b c (Å): 5.295 5.295 5.295
angles (deg): 60.00 60.00 60.00
Element x y z (fractional)
Ho1 0.000 0.000 0.000
Cd1 0.250 0.250 0.250
Cd2 0.750 0.750 0.750
Ca1 0.500 0.500 0.500

This record from the Materials Project describes an optimized crystal structure of PmRh3. The functional is r2SCAN.

Calculated values
As for the symmetry: P6_3/mmc, No. 194. The total moment is 0.000 μB/f.u. Its formation energy is -393 meV per atom. As for the total energy: -1.9022 Ry/atom.

a b c (Å): 5.883 5.883 4.590
angles (deg): 90.00 90.00 120.00
Element x y z (fractional)
Rh1 0.847 0.153 0.750
Rh2 0.153 0.847 0.250
Rh3 0.153 0.307 0.250
Rh4 0.693 0.847 0.250
Pm1 0.667 0.333 0.250
Rh5 0.307 0.153 0.750
Rh6 0.847 0.693 0.750
Pm2 0.333 0.667 0.750

This record from the Materials Project describes an optimized crystal structure of MnH8C4N2O6. The functional is r2SCAN.

Calculated values
The total moment is 0.000 μB/f.u. Its formation energy is -822 meV per atom. As for the total energy: -0.5371 Ry/atom.

a b c (Å): 13.257 8.724 8.251
angles (deg): 90.00 117.35 90.00
Element x y z (fractional)
O1 0.294 0.848 0.767
H1 0.424 0.418 0.602
H2 0.752 0.934 0.324
H3 0.622 0.761 0.514
H4 0.076 0.918 0.898
Mn1 0.750 0.250 0.500
C1 0.000 0.270 0.250
C2 0.211 0.510 0.204
C3 0.711 0.010 0.204
C4 0.711 0.990 0.704
O2 0.328 0.049 0.952
C5 0.500 0.770 0.250
O3 0.672 0.951 0.048
Mn2 0.750 0.750 0.000
O4 0.794 0.348 0.767
O5 0.910 0.875 0.140
O6 0.590 0.625 0.860
H5 0.924 0.082 0.102
O7 0.328 0.951 0.452
C6 0.500 0.307 0.250
C7 0.289 0.010 0.296
H6 0.500 0.819 0.750
H7 0.122 0.739 0.014
O8 0.706 0.152 0.233
O9 0.706 0.848 0.733
H8 0.748 0.434 0.176
C8 0.211 0.490 0.704
H9 0.878 0.739 0.486
C9 0.000 0.807 0.250
O10 0.672 0.049 0.548
H10 0.424 0.582 0.102
H11 0.500 0.105 0.750
O11 0.794 0.652 0.267
H12 0.378 0.239 0.486
H13 0.000 0.319 0.750
N1 0.071 0.800 0.899
H14 0.378 0.761 0.986
N2 0.429 0.300 0.601
H15 0.500 0.895 0.250
H16 0.252 0.566 0.824
H17 0.076 0.082 0.398
H18 0.622 0.239 0.014
C10 0.289 0.990 0.796
O12 0.206 0.348 0.733
O13 0.828 0.451 0.452
N3 0.429 0.700 0.101
N4 0.571 0.700 0.399
O14 0.410 0.625 0.640
H19 0.248 0.066 0.676
N5 0.571 0.300 0.899
Mn3 0.250 0.750 0.500
H20 0.248 0.934 0.176
O15 0.410 0.375 0.140
C11 0.000 0.730 0.750
O16 0.090 0.125 0.860
H21 0.878 0.261 0.986
O17 0.172 0.451 0.048
C12 0.789 0.510 0.296
H22 0.000 0.681 0.250
O18 0.206 0.652 0.233
H23 0.924 0.918 0.602
H24 0.000 0.605 0.750
H25 0.500 0.181 0.250
N6 0.929 0.800 0.601
Mn4 0.250 0.250 0.000
H26 0.000 0.395 0.250
H27 0.576 0.418 0.898
N7 0.929 0.200 0.101
C13 0.500 0.693 0.750
O19 0.590 0.375 0.360
C14 0.789 0.490 0.796
H28 0.752 0.066 0.824
O20 0.294 0.152 0.267
H29 0.122 0.261 0.514
O21 0.910 0.125 0.640
O22 0.090 0.875 0.360
C15 0.500 0.230 0.750
O23 0.828 0.549 0.952
C16 0.000 0.193 0.750
N8 0.071 0.200 0.399
H30 0.576 0.582 0.398
H31 0.748 0.566 0.676
O24 0.172 0.549 0.548
H32 0.252 0.434 0.324

This record from the Materials Project describes an optimized crystal structure of LiInSe2. The functional is r2SCAN.

Calculated values
As for the symmetry: I-42d, No. 122. The total moment is 0.000 μB/f.u. Its formation energy is -1057 meV per atom. As for the total energy: -1.0624 Ry/atom.

a b c (Å): 5.981 5.981 7.244
angles (deg): 114.38 114.38 90.00
Element x y z (fractional)
Li1 0.500 0.500 0.000
In1 0.250 0.750 0.500
Se1 0.125 0.618 0.750
Se2 0.382 0.375 0.250
Li2 0.750 0.250 0.500
In2 0.000 0.000 0.000
Se3 0.625 0.132 0.750
Se4 0.868 0.875 0.250

This record from the Materials Project describes an optimized crystal structure of LiYb2Cl5. The functional is r2SCAN.

Calculated values
As for the symmetry: C2/c, No. 15. The total moment is 0.000 μB/f.u. Its formation energy is -1928 meV per atom. As for the total energy: -1.1175 Ry/atom.

a b c (Å): 8.196 8.196 7.177
angles (deg): 87.64 87.64 44.44
Element x y z (fractional)
Cl1 0.734 0.861 0.827
Li1 0.500 0.000 0.500
Cl2 0.505 0.315 0.399
Yb1 0.886 0.262 0.436
Cl3 0.120 0.880 0.250
Cl4 0.139 0.266 0.673
Cl5 0.315 0.505 0.899
Cl6 0.495 0.685 0.601
Yb2 0.262 0.886 0.936
Cl7 0.266 0.139 0.173
Cl8 0.880 0.120 0.750
Yb3 0.738 0.114 0.064
Cl9 0.685 0.495 0.101
Yb4 0.114 0.738 0.564
Cl10 0.861 0.734 0.327
Li2 0.000 0.500 0.000

This record from the Materials Project describes an optimized crystal structure of Mn2PHO3F2. The functional is r2SCAN.

Calculated values
As for the symmetry: Pnma, No. 62. The total moment is 10.000 μB/f.u. Its formation energy is -2281 meV per atom. As for the total energy: -0.7066 Ry/atom.

a b c (Å): 5.504 7.572 10.170
angles (deg): 90.00 90.00 90.00
Element x y z (fractional)
F1 0.428 0.845 0.046
Mn1 0.252 0.597 0.062
Mn2 0.748 0.403 0.562
Mn3 0.752 0.903 0.562
F2 0.072 0.345 0.046
H1 0.185 0.739 0.750
F3 0.072 0.345 0.454
O1 0.601 0.819 0.750
Mn4 0.248 0.097 0.062
F4 0.928 0.655 0.546
O2 0.441 0.553 0.874
O3 0.941 0.947 0.126
Mn5 0.752 0.903 0.938
P1 0.083 0.166 0.750
Mn6 0.252 0.597 0.438
O4 0.941 0.947 0.374
Mn7 0.248 0.097 0.438
O5 0.899 0.319 0.750
O6 0.059 0.053 0.626
F5 0.928 0.655 0.954
P2 0.417 0.666 0.750
O7 0.399 0.181 0.250
Mn8 0.748 0.403 0.938
F6 0.572 0.155 0.954
O8 0.559 0.447 0.126
P3 0.917 0.834 0.250
O9 0.059 0.053 0.874
P4 0.583 0.334 0.250
H2 0.315 0.239 0.750
H3 0.815 0.261 0.250
O10 0.559 0.447 0.374
F7 0.428 0.845 0.454
H4 0.685 0.761 0.250
O11 0.101 0.681 0.250
F8 0.572 0.155 0.546
O12 0.441 0.553 0.626